The following is a PBE calculation of an optimized crystal structure of CeUFe4, from the Materials Project.

Cell lengths 4.9438, 4.9438, 4.9438 Å; angles 60.00, 60.00, 60.00 degrees
Last column: nearest neighbours and their distance in Å.
Positions (direct):
Ce 0.2500 0.2500 0.2500  12 Fe 2.90, 4 U 3.03
U 0.0000 0.0000 0.0000  12 Fe 2.90, 4 Ce 3.03
Fe 0.6251 0.6251 0.1246  6 Fe 2.47
Fe 0.6251 0.1246 0.6251  6 Fe 2.47
Fe 0.1246 0.6251 0.6251  6 Fe 2.47
Fe 0.6251 0.6251 0.6251  6 Fe 2.47

Values from the calculation:
Calculated total energy, eV/cell: -51.4
Crystal system: cubic
Space group: F-43m (216)
Spin magnetization, μB per formula unit: 2.9